Computed, not measured: a relaxed structure of CaGa2Se4 at the PBE level of DFT.

```
CaGa2Se4
1.0
0.000 10.647 10.695
6.419 0.000 10.695
6.419 10.647 0.000
Ca Ga Se
8 16 32
direct
0.123 0.123 0.627
0.125 0.125 0.125
0.373 0.373 0.877
0.375 0.375 0.375
0.625 0.625 0.625
0.627 0.627 0.123
0.875 0.875 0.875
0.877 0.877 0.373
0.030 0.469 0.861
0.112 0.387 0.366
0.139 0.861 0.469
0.139 0.861 0.970
0.364 0.634 0.613
0.366 0.636 0.112
0.387 0.112 0.636
0.469 0.030 0.139
0.531 0.970 0.861
0.613 0.888 0.364
0.634 0.364 0.888
0.636 0.366 0.387
0.861 0.139 0.030
0.861 0.139 0.531
0.888 0.613 0.634
0.970 0.531 0.139
0.086 0.089 0.414
0.088 0.586 0.411
0.089 0.086 0.911
0.089 0.586 0.911
0.151 0.846 0.662
0.154 0.849 0.159
0.159 0.338 0.154
0.182 0.316 0.650
0.316 0.182 0.352
0.338 0.159 0.849
0.350 0.648 0.818
0.352 0.650 0.316
0.411 0.415 0.088
0.414 0.911 0.086
0.414 0.912 0.585
0.415 0.411 0.586
0.585 0.589 0.414
0.586 0.088 0.415
0.586 0.089 0.914
0.589 0.585 0.912
0.648 0.350 0.684
0.650 0.352 0.182
0.662 0.841 0.151
0.684 0.818 0.648
0.818 0.684 0.350
0.841 0.662 0.846
0.846 0.151 0.841
0.849 0.154 0.338
0.911 0.414 0.089
0.911 0.914 0.089
0.912 0.414 0.589
0.914 0.911 0.586
```

Computed properties:
Energy of formation from the pure elements   -1.27 eV/atom
Calculated total energy   -0.153 Ha/atom
Space-group type   Fddd (70)
Crystal system   orthorhombic